1.
A relaxed NaHfMg6O7 crystal, computed with PBE.

Unit cell a=4.3949 b=4.3949 c=8.9252 alpha=90.00 beta=90.00 gamma=90.00
With the nearest neighbours (Å) after each atom.
Space group P4mm (No. 99)
Asymmetric unit:
Na1 0.0000 0.0000 0.0000 [1 per cell]  6 O 2.20-2.41
Hf1 0.0000 0.0000 0.5029 [1 per cell]  6 O 2.08-2.20
Mg1 0.0000 0.5000 0.2270 [2 per cell]  3 O 2.05-2.23
Mg2 0.0000 0.5000 0.7682 [2 per cell]  6 O 2.05-2.22
Mg3 0.5000 0.5000 0.5142 [1 per cell]  5 O 2.14-2.20
Mg4 0.5000 0.5000 0.9922 [1 per cell]  5 O 2.12-2.20
O1 0.0000 0.0000 0.2701 [1 per cell]  1 Hf 2.08, 4 Mg 2.23
O2 0.0000 0.0000 0.7367 [1 per cell]  1 Hf 2.09, 4 Mg 2.22
O3 0.0000 0.5000 0.5198 [2 per cell]  3 Mg 2.20-2.22, 2 Hf 2.20
O4 0.0000 0.5000 0.9974 [2 per cell]  4 Mg 2.05-2.20, 2 Na 2.20
O5 0.5000 0.5000 0.7541 [1 per cell]  6 Mg 2.12-2.20

Calculated values
* formation enthalpy at 0 K: -2.576 eV/atom
* total magnetic moment: 0.2 μB/cell
* volume: 172.39 Å³ per cell
* calculated density: 4.424 g/cm³
* E above lowest polymorph: 0.0441 eV per atom


2.
A relaxed NaHfMg14O15 crystal, computed with PBE.

Unit cell a=4.3315 b=8.6697 c=8.6134 alpha=90.00 beta=90.00 gamma=90.00
With the nearest neighbours (Å) after each atom.
Space group Pmm2 (No. 25)
Asymmetric unit:
Na1 0.0000 0.0000 0.0000 [1 per cell]  5 O 2.17-2.30
Hf1 0.0000 0.5000 0.5015 [1 per cell]  6 O 2.14-2.17
Mg1 0.0000 0.0000 0.5033 [1 per cell]  5 O 2.04-2.19
Mg2 0.0000 0.2410 0.2435 [2 per cell]  6 O 2.09-2.25
Mg3 0.0000 0.2454 0.7605 [2 per cell]  5 O 2.09-2.24
Mg4 0.0000 0.5000 0.0028 [1 per cell]  6 O 2.04-2.17
Mg5 0.5000 0.0000 0.2467 [1 per cell]  6 O 2.11-2.19
Mg6 0.5000 0.0000 0.7560 [1 per cell]  4 O 2.11-2.21
Mg7 0.5000 0.2402 0.5023 [2 per cell]  6 O 2.08-2.25
Mg8 0.5000 0.2447 0.0019 [2 per cell]  6 O 2.12-2.21
Mg9 0.5000 0.5000 0.2426 [1 per cell]  6 O 2.07-2.23
Mg10 0.5000 0.5000 0.7620 [1 per cell]  6 O 2.07-2.24
O1 0.0000 0.0000 0.2668 [1 per cell]  5 Mg 2.04-2.17
O2 0.0000 0.2520 0.5006 [2 per cell]  1 Hf 2.15, 5 Mg 2.17-2.24
O3 0.0000 0.2653 0.0024 [2 per cell]  5 Mg 2.04-2.17
O4 0.0000 0.5000 0.2528 [1 per cell]  1 Hf 2.14, 5 Mg 2.15-2.25
O5 0.0000 0.5000 0.7512 [1 per cell]  1 Hf 2.15, 5 Mg 2.17-2.21
O6 0.5000 0.0000 0.0012 [1 per cell]  4 Mg 2.11-2.12, 2 Na 2.17
O7 0.5000 0.0000 0.5002 [1 per cell]  6 Mg 2.08-2.20
O8 0.5000 0.2521 0.2542 [2 per cell]  6 Mg 2.14-2.19
O9 0.5000 0.2546 0.7497 [2 per cell]  6 Mg 2.13-2.21
O10 0.5000 0.5000 0.0024 [1 per cell]  6 Mg 2.07-2.21
O11 0.5000 0.5000 0.5020 [1 per cell]  2 Hf 2.17, 4 Mg 2.23-2.25

Calculated values
* formation enthalpy at 0 K: -2.811 eV/atom
* total magnetic moment: 0.9 μB/cell
* volume: 323.46 Å³ per cell
* calculated density: 4.013 g/cm³
* E above lowest polymorph: 0.0207 eV per atom


3.
A relaxed NaHfMg14O15 crystal, computed with PBE.

Unit cell a=4.3374 b=8.6167 c=8.6326 alpha=90.00 beta=90.00 gamma=90.00
With the nearest neighbours (Å) after each atom.
Space group Pmm2 (No. 25)
Asymmetric unit:
Na1 0.0000 0.0000 0.0000 [1 per cell]  6 O 2.17-2.30
Hf1 0.0000 0.5000 0.5072 [1 per cell]  5 O 2.10-2.23
Mg1 0.0000 0.0000 0.4999 [1 per cell]  6 O 2.01-2.21
Mg2 0.0000 0.2409 0.7605 [2 per cell]  5 O 2.08-2.26
Mg3 0.0000 0.2432 0.2401 [2 per cell]  6 O 2.08-2.24
Mg4 0.0000 0.5000 0.0016 [1 per cell]  5 O 2.03-2.17
Mg5 0.5000 0.0000 0.2443 [1 per cell]  6 O 2.10-2.20
Mg6 0.5000 0.0000 0.7563 [1 per cell]  6 O 2.11-2.22
Mg7 0.5000 0.2397 0.5012 [2 per cell]  6 O 2.07-2.24
Mg8 0.5000 0.2453 0.9993 [2 per cell]  6 O 2.11-2.19
Mg9 0.5000 0.5000 0.2416 [1 per cell]  6 O 2.08-2.18
Mg10 0.5000 0.5000 0.7562 [1 per cell]  4 O 2.11-2.27
O1 0.0000 0.0000 0.2665 [1 per cell]  5 Mg 2.01-2.18
O2 0.0000 0.0000 0.7331 [1 per cell]  5 Mg 2.01-2.18
O3 0.0000 0.2569 0.4994 [2 per cell]  1 Hf 2.10, 5 Mg 2.17-2.26
O4 0.0000 0.2650 0.9999 [2 per cell]  5 Mg 2.03-2.18
O5 0.0000 0.5000 0.2494 [1 per cell]  5 Mg 2.14-2.21, 1 Hf 2.23
O6 0.5000 0.0000 0.0013 [1 per cell]  4 Mg 2.10-2.11, 2 Na 2.17
O7 0.5000 0.0000 0.4990 [1 per cell]  6 Mg 2.07-2.22
O8 0.5000 0.2452 0.7488 [2 per cell]  6 Mg 2.11-2.20
O9 0.5000 0.2507 0.2523 [2 per cell]  6 Mg 2.15-2.18
O10 0.5000 0.5000 0.0002 [1 per cell]  6 Mg 2.08-2.19
O11 0.5000 0.5000 0.4938 [1 per cell]  2 Hf 2.17, 4 Mg 2.18-2.27

Calculated values
* formation enthalpy at 0 K: -2.824 eV/atom
* total magnetic moment: 0.3 μB/cell
* volume: 322.63 Å³ per cell
* calculated density: 4.024 g/cm³
* E above lowest polymorph: 0.0077 eV per atom